Entry 1:
Below is crystalline FeOF at its relaxed geometry, with properties calculated at the PBE with a Hubbard U level.

a b c (Å): 5.6473 4.7491 5.6654
angles (deg): 90.00 114.32 90.00
Closest atoms and distances in Å follow each position.
Positions (direct):
1 Fe 0.2191 0.0247 0.2470  3 O 1.89-1.95, 1 F 2.09
2 Fe 0.2191 0.4753 0.7470  3 O 1.89-1.95, 1 F 2.09
3 Fe 0.7809 0.5247 0.2530  3 O 1.89-1.95, 1 F 2.09
4 Fe 0.7809 0.9753 0.7530  3 O 1.89-1.95, 1 F 2.09
5 O 0.0994 0.1947 0.9076  3 Fe 1.89-1.95
6 O 0.0994 0.3053 0.4076  3 Fe 1.89-1.95
7 O 0.9006 0.6947 0.5924  3 Fe 1.89-1.95
8 O 0.9006 0.8053 0.0924  3 Fe 1.89-1.95
9 F 0.4057 0.6928 0.1022  3 Fe 2.09-2.23
10 F 0.4057 0.8072 0.6022  3 Fe 2.09-2.23
11 F 0.5943 0.1928 0.3978  3 Fe 2.09-2.23
12 F 0.5943 0.3072 0.8978  3 Fe 2.09-2.23

Properties
- space group = P2_1/c, No. 14
- raw total energy (eV per atom) = -6.08
- crystal system = monoclinic
- corrected total energy (MP2020 scheme) (eV/atom) = -7.22
- calculated formation energy (eV per atom) = -2.11

=====

Entry 2:
Below is crystalline CaEuNbWO6 at its relaxed geometry, with properties calculated at the PBE with a Hubbard U level.

a b c (Å): 5.8012 5.8012 5.8012
angles (deg): 60.00 60.00 60.00
Closest atoms and distances in Å follow each position.
Positions (direct):
1 Ca 0.0000 0.0000 0.0000  12 O 2.90
2 Eu 0.5000 0.5000 0.5000  12 O 2.90
3 Nb 0.2500 0.2500 0.2500  6 O 2.00
4 W 0.7500 0.7500 0.7500  6 O 2.10
5 O 0.0059 0.0059 0.4941  1 Nb 2.00, 1 W 2.10
6 O 0.0059 0.4941 0.0059  1 Nb 2.00, 1 W 2.10
7 O 0.0059 0.4941 0.4941  1 Nb 2.00, 1 W 2.10
8 O 0.4941 0.0059 0.0059  1 Nb 2.00, 1 W 2.10
9 O 0.4941 0.0059 0.4941  1 Nb 2.00, 1 W 2.10
10 O 0.4941 0.4941 0.0059  1 Nb 2.00, 1 W 2.10

Properties
- space group = F-43m, No. 216
- raw total energy (eV per atom) = -8.43
- crystal system = cubic
- corrected total energy (MP2020 scheme) (eV/atom) = -9.29
- calculated formation energy (eV per atom) = -2.79